No. 1
A relaxed BaSm4Si3SeO12 crystal. Source: the Materials Project database, functional PBE-GGA.

## Properties
Formation energy from the elements = -72.97 eV per formula unit

abc: 10.0432 10.0432 6.9765
angles: 90.00 90.00 120.00
Space group P6_3 (No. 173)
Unique sites:
Ba1 0.3333 0.6667 0.0000 (multiplicity 2)
Sm1 0.0154 0.7578 0.7438 (multiplicity 6)
Sm2 0.3333 0.6667 0.4941 (multiplicity 2)
Si1 0.0277 0.4045 0.7484 (multiplicity 6)
Se1 0.0000 0.0000 0.4962 (multiplicity 2)
O1 0.0847 0.3487 0.5575 (multiplicity 6)
O2 0.1015 0.3584 0.9320 (multiplicity 6)
O3 0.1171 0.5948 0.7240 (multiplicity 6)
O4 0.1569 0.6711 0.2762 (multiplicity 6)

=====

No. 2
A relaxed Sr2YTlCu2O7 crystal. Source: the Materials Project database, functional PBE-GGA.

## Properties
Relative energy among the computed polymorphs = 4 meV per atom
Formation energy from the elements = -29.18 eV per formula unit

abc: 3.825 3.825 12.190
angles: 90.00 90.00 90.00
Space group P4/mmm (No. 123)
Unique sites:
Sr1 0.000 0.000 0.206 (multiplicity 2)
Y1 0.000 0.000 0.500 (multiplicity 1)
Tl1 0.500 0.500 0.000 (multiplicity 1)
Cu1 0.500 0.500 0.362 (multiplicity 2)
O1 0.000 0.000 0.000 (multiplicity 1)
O2 0.000 0.500 0.380 (multiplicity 4)
O3 0.500 0.500 0.174 (multiplicity 2)

=====

No. 3
A relaxed ScC crystal. Source: the Materials Project database, functional PBE-GGA.

## Properties
Relative energy among the computed polymorphs = 0 meV per atom
Formation energy from the elements = -0.28 eV per formula unit

abc: 4.686 4.686 4.686
angles: 90.00 90.00 90.00
Space group Fm-3m (No. 225)
Unique sites:
Sc1 0.000 0.000 0.000 (multiplicity 4)
C1 0.000 0.000 0.500 (multiplicity 4)

=====

No. 4
A relaxed KGdP4O12 crystal. Source: the Materials Project database, functional PBE-GGA.

## Properties
Formation energy from the elements = -52.36 eV per formula unit

abc: 7.359 8.526 7.998
angles: 90.00 91.55 90.00
Space group P2_1 (No. 4)
Unique sites:
K1 0.232 0.000 0.279 (multiplicity 2)
Gd1 0.263 0.312 0.759 (multiplicity 2)
P1 0.064 0.938 0.902 (multiplicity 2)
P2 0.115 0.563 0.403 (multiplicity 2)
P3 0.402 0.736 0.897 (multiplicity 2)
P4 0.496 0.465 0.384 (multiplicity 2)
O1 0.025 0.716 0.359 (multiplicity 2)
O2 0.039 0.426 0.278 (multiplicity 2)
O3 0.068 0.404 0.963 (multiplicity 2)
O4 0.109 0.503 0.579 (multiplicity 2)
O5 0.176 0.084 0.925 (multiplicity 2)
O6 0.192 0.786 0.880 (multiplicity 2)
O7 0.323 0.576 0.346 (multiplicity 2)
O8 0.338 0.067 0.615 (multiplicity 2)
O9 0.414 0.574 0.826 (multiplicity 2)
O10 0.467 0.367 0.537 (multiplicity 2)
O11 0.473 0.768 0.072 (multiplicity 2)
O12 0.487 0.356 0.220 (multiplicity 2)